[1]
A plane-wave DFT calculation with PBE with a Hubbard U was carried out for Li2Ni5O9 after structural relaxation.

Output
Energy relative to the elements   -1176 meV per atom

Cell lengths 6.482, 7.600, 7.717 Å; angles 65.03, 87.33, 65.59 degrees
Space group P1 (No. 1)
Unique sites:
1 Li 0.000 0.000 0.000
2 Li 0.092 0.574 0.093
3 Li 0.217 0.128 0.212
4 Li 0.554 0.815 0.560
5 Ni 0.094 0.074 0.600
6 Ni 0.208 0.628 0.710
7 Ni 0.322 0.187 0.822
8 Ni 0.434 0.737 0.933
9 Ni 0.555 0.297 0.041
10 Ni 0.649 0.354 0.647
11 Ni 0.649 0.850 0.154
12 Ni 0.763 0.408 0.265
13 Ni 0.875 0.958 0.381
14 Ni 0.995 0.516 0.476
15 O 0.065 0.339 0.343
16 O 0.131 0.797 0.847
17 O 0.180 0.880 0.486
18 O 0.242 0.384 0.939
19 O 0.312 0.432 0.599
20 O 0.334 0.958 0.052
21 O 0.398 0.988 0.706
22 O 0.463 0.485 0.156
23 O 0.514 0.557 0.775
24 O 0.571 0.024 0.284
25 O 0.655 0.119 0.915
26 O 0.670 0.582 0.392
27 O 0.737 0.656 0.041
28 O 0.784 0.175 0.499
29 O 0.863 0.206 0.158
30 O 0.907 0.703 0.601
31 O 0.961 0.759 0.242
32 O 0.993 0.274 0.705



[2]
A plane-wave DFT calculation with PBE with a Hubbard U was carried out for Li3Fe2P2C2O14 after structural relaxation.

Output
Energy relative to the elements   -2178 meV per atom
Energy relative to the lowest polymorph listed for this composition   2.4 meV/atom

Cell lengths 6.462, 9.417, 10.141 Å; angles 62.79, 89.65, 89.57 degrees
Space group P-1 (No. 2)
Unique sites:
1 Li 0.034 0.484 0.234
2 Li 0.253 0.831 0.067
3 Li 0.262 0.331 0.564
4 Fe 0.252 0.260 0.069
5 Fe 0.256 0.770 0.563
6 P 0.244 0.648 0.931
7 P 0.248 0.153 0.426
8 C 0.238 0.664 0.375
9 C 0.248 0.169 0.870
10 O 0.063 0.745 0.953
11 O 0.064 0.257 0.435
12 O 0.219 0.629 0.268
13 O 0.229 0.474 0.061
14 O 0.230 0.639 0.783
15 O 0.239 0.980 0.552
16 O 0.241 0.318 0.848
17 O 0.244 0.560 0.515
18 O 0.248 0.139 0.762
19 O 0.251 0.144 0.279
20 O 0.252 0.812 0.348
21 O 0.257 0.064 0.010
22 O 0.437 0.243 0.445
23 O 0.438 0.733 0.949



[3]
A plane-wave DFT calculation with PBE with a Hubbard U was carried out for LiVTeO5 after structural relaxation.

Output
Energy relative to the elements   -1986 meV per atom
Energy relative to the lowest polymorph listed for this composition   90.5 meV/atom

Cell lengths 8.574, 6.451, 7.961 Å; angles 90.00, 90.00, 90.00 degrees
Space group Pnma (No. 62)
Unique sites:
1 Li 0.000 0.000 0.000
2 V 0.199 0.250 0.265
3 Te 0.144 0.750 0.368
4 O 0.105 0.750 0.784
5 O 0.138 0.250 0.461
6 O 0.152 0.250 0.960
7 O 0.157 0.534 0.202



[4]
A plane-wave DFT calculation with PBE with a Hubbard U was carried out for MgZnCo4O8 after structural relaxation.

Output
Energy relative to the elements   -1437 meV per atom
Energy relative to the lowest polymorph listed for this composition   19.4 meV/atom

Cell lengths 2.963, 7.493, 7.938 Å; angles 108.97, 100.69, 101.19 degrees
Space group P1 (No. 1)
Unique sites:
1 Mg 0.000 0.000 0.000
2 Zn 0.912 0.135 0.700
3 Co 0.182 0.740 0.628
4 Co 0.340 0.304 0.376
5 Co 0.632 0.928 0.321
6 Co 0.717 0.566 0.941
7 O 0.135 0.400 0.899
8 O 0.322 0.140 0.508
9 O 0.406 0.004 0.814
10 O 0.661 0.810 0.510
11 O 0.673 0.146 0.198
12 O 0.723 0.691 0.765
13 O 0.972 0.485 0.459
14 O 0.978 0.797 0.137



[5]
A plane-wave DFT calculation with PBE with a Hubbard U was carried out for Li3Mn2FeB3O9 after structural relaxation.

Output
Energy relative to the elements   -2449 meV per atom
Energy relative to the lowest polymorph listed for this composition   2.0 meV/atom

Cell lengths 8.275, 3.171, 14.304 Å; angles 90.00, 90.04, 90.00 degrees
Space group Pm (No. 6)
Unique sites:
1 Li 0.000 0.000 0.000
2 Li 0.025 0.000 0.294
3 Li 0.074 0.000 0.659
4 Li 0.502 0.000 0.500
5 Li 0.528 0.000 0.792
6 Li 0.575 0.000 0.161
7 Mn 0.175 0.500 0.471
8 Mn 0.193 0.500 0.836
9 Mn 0.233 0.500 0.145
10 Mn 0.676 0.500 0.971
11 Fe 0.691 0.500 0.335
12 Fe 0.730 0.500 0.646
13 B 0.367 0.000 0.984
14 B 0.368 0.500 0.650
15 B 0.369 0.000 0.317
16 B 0.865 0.000 0.485
17 B 0.866 0.000 0.816
18 B 0.868 0.500 0.152
19 O 0.004 0.500 0.209
20 O 0.017 0.000 0.859
21 O 0.019 0.000 0.524
22 O 0.215 0.500 0.690
23 O 0.229 0.000 0.039
24 O 0.229 0.000 0.371
25 O 0.354 0.000 0.887
26 O 0.358 0.000 0.221
27 O 0.386 0.500 0.553
28 O 0.506 0.500 0.707
29 O 0.519 0.000 0.026
30 O 0.520 0.000 0.360
31 O 0.714 0.500 0.193
32 O 0.727 0.000 0.871
33 O 0.729 0.000 0.542
34 O 0.847 0.000 0.388
35 O 0.855 0.000 0.719
36 O 0.884 0.500 0.055



[6]
A plane-wave DFT calculation with PBE with a Hubbard U was carried out for LiNiP4O12 after structural relaxation.

Output
Energy relative to the elements   -2356 meV per atom
Energy relative to the lowest polymorph listed for this composition   33.8 meV/atom

Cell lengths 9.430, 13.534, 7.818 Å; angles 90.00, 102.51, 90.00 degrees
Space group Cc (No. 9)
Unique sites:
1 Li 0.000 0.154 0.000
2 Ni 0.344 0.129 0.014
3 P 0.215 0.079 0.594
4 P 0.256 0.333 0.125
5 P 0.440 0.328 0.877
6 P 0.475 0.078 0.441
7 O 0.084 0.107 0.438
8 O 0.109 0.396 0.098
9 O 0.199 0.126 0.762
10 O 0.209 0.226 0.066
11 O 0.222 0.034 0.094
12 O 0.330 0.383 0.978
13 O 0.342 0.348 0.304
14 O 0.348 0.124 0.523
15 O 0.396 0.341 0.686
16 O 0.460 0.034 0.929
17 O 0.473 0.225 0.958
18 O 0.486 0.130 0.275



[7]
A plane-wave DFT calculation with PBE with a Hubbard U was carried out for TiFeO3 after structural relaxation.

Output
Energy relative to the elements   -2014 meV per atom

Cell lengths 5.135, 5.601, 33.873 Å; angles 87.48, 89.52, 63.11 degrees
Space group P1 (No. 1)
Unique sites:
1 Ti 0.000 0.000 0.000
2 Ti 0.021 0.953 0.911
3 Ti 0.140 0.702 0.285
4 Ti 0.144 0.748 0.373
5 Ti 0.196 0.629 0.560
6 Ti 0.245 0.502 0.750
7 Ti 0.272 0.461 0.662
8 Ti 0.371 0.253 0.124
9 Ti 0.394 0.207 0.036
10 Ti 0.508 0.996 0.499
11 Ti 0.623 0.750 0.874
12 Ti 0.644 0.705 0.786
13 Ti 0.743 0.503 0.250
14 Ti 0.772 0.454 0.161
15 Ti 0.814 0.369 0.434
16 Ti 0.869 0.251 0.624
17 Fe 0.067 0.877 0.187
18 Fe 0.081 0.826 0.099
19 Fe 0.209 0.574 0.473
20 Fe 0.316 0.375 0.937
21 Fe 0.331 0.328 0.849
22 Fe 0.435 0.123 0.312
23 Fe 0.453 0.079 0.223
24 Fe 0.520 0.952 0.411
25 Fe 0.551 0.892 0.686
26 Fe 0.576 0.833 0.599
27 Fe 0.679 0.640 0.061
28 Fe 0.707 0.577 0.974
29 Fe 0.841 0.324 0.349
30 Fe 0.895 0.206 0.534
31 Fe 0.935 0.127 0.812
32 Fe 0.958 0.078 0.723
33 O 0.007 0.697 0.696
34 O 0.029 0.598 0.148
35 O 0.053 0.532 0.612
36 O 0.104 0.175 0.670
37 O 0.116 0.107 0.136
38 O 0.117 0.004 0.590
39 O 0.134 0.445 0.071
40 O 0.165 0.278 0.990
41 O 0.183 0.379 0.529
42 O 0.206 0.206 0.452
43 O 0.237 0.916 0.046
44 O 0.248 0.760 0.963
45 O 0.257 0.839 0.515
46 O 0.272 0.028 0.360
47 O 0.278 0.100 0.898
48 O 0.365 0.607 0.887
49 O 0.372 0.640 0.421
50 O 0.390 0.501 0.339
51 O 0.394 0.943 0.821
52 O 0.398 0.849 0.272
53 O 0.417 0.777 0.739
54 O 0.475 0.424 0.796
55 O 0.487 0.354 0.263
56 O 0.494 0.259 0.713
57 O 0.511 0.697 0.196
58 O 0.531 0.606 0.650
59 O 0.543 0.527 0.114
60 O 0.590 0.467 0.575
61 O 0.604 0.169 0.171
62 O 0.617 0.104 0.638
63 O 0.625 0.005 0.088
64 O 0.655 0.352 0.024
65 O 0.664 0.273 0.483
66 O 0.735 0.900 0.546
67 O 0.742 0.856 0.012
68 O 0.752 0.746 0.466
69 O 0.765 0.195 0.947
70 O 0.793 0.029 0.864
71 O 0.805 0.118 0.403
72 O 0.853 0.673 0.921
73 O 0.873 0.512 0.838
74 O 0.884 0.594 0.390
75 O 0.890 0.932 0.322
76 O 0.905 0.850 0.772
77 O 0.909 0.783 0.239
78 O 0.975 0.426 0.295
79 O 0.991 0.354 0.763
80 O 0.994 0.264 0.213



[8]
A plane-wave DFT calculation with PBE with a Hubbard U was carried out for Fe4O3F5 after structural relaxation.

Output
Energy relative to the elements   -2195 meV per atom
Energy relative to the lowest polymorph listed for this composition   0.0 meV/atom

Cell lengths 7.014, 6.521, 12.376 Å; angles 90.00, 90.00, 90.00 degrees
Space group Cmcm (No. 63)
Unique sites:
1 Fe 0.000 0.000 0.000
2 Fe 0.000 0.026 0.250
3 Fe 0.000 0.490 0.119
4 O 0.000 0.298 0.503
5 O 0.000 0.329 0.250
6 F 0.000 0.288 0.750
7 F 0.201 0.004 0.120



[9]
A plane-wave DFT calculation with PBE with a Hubbard U was carried out for Li3Cr3Co2O12 after structural relaxation.

Output
Energy relative to the elements   -1794 meV per atom

Cell lengths 8.781, 9.258, 15.053 Å; angles 90.00, 124.27, 90.00 degrees
Space group P2_1/c (No. 14)
Unique sites:
1 Li 0.013 0.228 0.179
2 Li 0.282 0.009 0.843
3 Li 0.381 0.087 0.303
4 Cr 0.030 0.613 0.646
5 Cr 0.266 0.119 0.648
6 Cr 0.449 0.749 0.992
7 Co 0.121 0.034 0.383
8 Co 0.353 0.030 0.111
9 O 0.021 0.726 0.194
10 O 0.124 0.077 0.694
11 O 0.125 0.012 0.246
12 O 0.149 0.086 0.517
13 O 0.151 0.617 0.594
14 O 0.187 0.056 0.943
15 O 0.240 0.677 0.935
16 O 0.281 0.192 0.167
17 O 0.387 0.123 0.444
18 O 0.454 0.666 0.396
19 O 0.471 0.029 0.727
20 O 0.489 0.633 0.587



Which formula does entry 4 have? MgZnCo4O8



Which formula does entry 5 have? Li3Mn2FeB3O9



What is the energy relative to the elements in the seventh record? -2014 meV per atom



Please write out number 1 again, unchanged.
A plane-wave DFT calculation with PBE with a Hubbard U was carried out for Li2Ni5O9 after structural relaxation.

Output
Energy relative to the elements   -1176 meV per atom

Cell lengths 6.482, 7.600, 7.717 Å; angles 65.03, 87.33, 65.59 degrees
Space group P1 (No. 1)
Unique sites:
1 Li 0.000 0.000 0.000
2 Li 0.092 0.574 0.093
3 Li 0.217 0.128 0.212
4 Li 0.554 0.815 0.560
5 Ni 0.094 0.074 0.600
6 Ni 0.208 0.628 0.710
7 Ni 0.322 0.187 0.822
8 Ni 0.434 0.737 0.933
9 Ni 0.555 0.297 0.041
10 Ni 0.649 0.354 0.647
11 Ni 0.649 0.850 0.154
12 Ni 0.763 0.408 0.265
13 Ni 0.875 0.958 0.381
14 Ni 0.995 0.516 0.476
15 O 0.065 0.339 0.343
16 O 0.131 0.797 0.847
17 O 0.180 0.880 0.486
18 O 0.242 0.384 0.939
19 O 0.312 0.432 0.599
20 O 0.334 0.958 0.052
21 O 0.398 0.988 0.706
22 O 0.463 0.485 0.156
23 O 0.514 0.557 0.775
24 O 0.571 0.024 0.284
25 O 0.655 0.119 0.915
26 O 0.670 0.582 0.392
27 O 0.737 0.656 0.041
28 O 0.784 0.175 0.499
29 O 0.863 0.206 0.158
30 O 0.907 0.703 0.601
31 O 0.961 0.759 0.242
32 O 0.993 0.274 0.705